[1]
# Y9Si20Os4 (GGA-PBE, optimized geometry)
# formation energy: -0.644 eV/atom
# total energy: -232.86 eV per formula unit
data_Y9Si20Os4
_chemical_formula_sum 'Y18 Si40 Os8'
_cell_length_a 19.643
_cell_length_b 7.905
_cell_length_c 8.062
_cell_angle_alpha 90.00
_cell_angle_beta 95.71
_cell_angle_gamma 90.00
_symmetry_space_group_name_H-M 'P 1 21/c 1'
_symmetry_Int_Tables_number 14
_symmetry_space_group_name_Hall '-P 2ybc'
loop_
_atom_site_label
_atom_site_fract_x
_atom_site_fract_y
_atom_site_fract_z
Y1 0.000 0.000 0.000
Y2 0.238 0.247 0.311
Y3 0.238 0.748 0.306
Y4 0.411 0.001 0.351
Y5 0.411 0.002 0.849
Si1 0.000 0.166 0.332
Si2 0.116 0.005 0.751
Si3 0.116 0.219 0.535
Si4 0.116 0.504 0.806
Si5 0.116 0.720 0.023
Si6 0.287 0.504 0.570
Si7 0.290 0.503 0.071
Si8 0.356 0.247 0.089
Si9 0.360 0.747 0.589
Si10 0.475 0.249 0.110
Os1 0.000 0.130 0.625
Os2 0.164 0.000 0.041

[2]
# KIr4O8 (GGA-PBE, optimized geometry)
# energy above the most stable polymorph in this dataset: 0.000 eV per atom
# formation energy: -1.282 eV/atom
# total energy: -87.22 eV per formula unit
data_KIr4O8
_chemical_formula_sum 'K2 Ir8 O16'
_cell_length_a 10.088
_cell_length_b 10.088
_cell_length_c 3.213
_cell_angle_alpha 90.00
_cell_angle_beta 90.00
_cell_angle_gamma 90.00
_symmetry_space_group_name_H-M 'I 4/m'
_symmetry_Int_Tables_number 87
_symmetry_space_group_name_Hall '-I 4'
loop_
_atom_site_label
_atom_site_fract_x
_atom_site_fract_y
_atom_site_fract_z
K1 0.000 0.000 0.000
Ir1 0.149 0.334 0.000
O1 0.047 0.660 0.000
O2 0.150 0.203 0.500

[3]
# CuTeO4 (GGA-PBE, optimized geometry)
# formation energy: -1.056 eV/atom
# total energy: -30.62 eV per formula unit
data_CuTeO4
_chemical_formula_sum 'Cu8 Te8 O32'
_cell_length_a 6.603
_cell_length_b 8.940
_cell_length_c 12.351
_cell_angle_alpha 90.00
_cell_angle_beta 91.98
_cell_angle_gamma 90.00
_symmetry_space_group_name_H-M 'P 1 21/c 1'
_symmetry_Int_Tables_number 14
_symmetry_space_group_name_Hall '-P 2ybc'
loop_
_atom_site_label
_atom_site_fract_x
_atom_site_fract_y
_atom_site_fract_z
Cu1 0.120 0.045 0.377
Cu2 0.294 0.643 0.384
Te1 0.098 0.605 0.633
Te2 0.402 0.058 0.645
O1 0.010 0.589 0.377
O2 0.106 0.241 0.898
O3 0.153 0.501 0.081
O4 0.187 0.625 0.780
O5 0.314 0.628 0.541
O6 0.374 0.022 0.791
O7 0.407 0.075 0.409
O8 0.446 0.238 0.123